The following is a DFT calculation (PBE) of NaBeSi3HO8 after structural relaxation.

Summary:
symmetry = P-1, No. 2
V = 163.8 Å³/f.u.
theoretical density = 2.5 g/cm³
VASP energy = -7.128 eV/atom
formation enthalpy at 0 K = -2926 meV per atom

Unit cell a=7.394 b=7.403 c=14.149 alpha=78.16 beta=78.20 gamma=60.57
Fractional positions:
1 Na 0.131 0.312 0.428
2 Na 0.190 0.369 0.071
3 Na 0.810 0.631 0.929
4 Na 0.869 0.688 0.572
5 Be 0.008 0.153 0.997
6 Be 0.346 0.492 0.503
7 Be 0.654 0.508 0.497
8 Be 0.992 0.847 0.003
9 Si 0.147 0.850 0.366
10 Si 0.277 0.815 0.141
11 Si 0.316 0.777 0.641
12 Si 0.351 0.647 0.866
13 Si 0.376 0.064 0.862
14 Si 0.436 0.124 0.638
15 Si 0.564 0.876 0.362
16 Si 0.624 0.936 0.138
17 Si 0.649 0.353 0.134
18 Si 0.684 0.223 0.359
19 Si 0.723 0.185 0.859
20 Si 0.853 0.150 0.634
21 H 0.022 0.431 0.752
22 H 0.052 0.620 0.755
23 H 0.948 0.380 0.245
24 H 0.978 0.569 0.248
25 O 0.059 0.417 0.246
26 O 0.079 0.940 0.616
27 O 0.097 0.924 0.070
28 O 0.155 0.655 0.444
29 O 0.155 0.656 0.944
30 O 0.176 0.800 0.255
31 O 0.189 0.203 0.938
32 O 0.296 0.677 0.755
33 O 0.297 0.311 0.562
34 O 0.318 0.925 0.375
35 O 0.325 0.173 0.750
36 O 0.396 0.959 0.126
37 O 0.424 0.597 0.570
38 O 0.425 0.819 0.875
39 O 0.440 0.579 0.116
40 O 0.460 0.896 0.626
41 O 0.540 0.104 0.374
42 O 0.560 0.421 0.884
43 O 0.575 0.181 0.125
44 O 0.576 0.403 0.430
45 O 0.604 0.041 0.874
46 O 0.675 0.827 0.250
47 O 0.682 0.075 0.625
48 O 0.703 0.689 0.438
49 O 0.704 0.323 0.245
50 O 0.811 0.797 0.062
51 O 0.824 0.200 0.745
52 O 0.845 0.344 0.056
53 O 0.845 0.345 0.556
54 O 0.903 0.076 0.930
55 O 0.921 0.060 0.384
56 O 0.941 0.583 0.754

=====

The following is a DFT calculation (PBE) of CaMg14Sb after structural relaxation.

Summary:
symmetry = Amm2, No. 38
V = 381.3 Å³/f.u.
theoretical density = 2.2 g/cm³
excess energy over the best structure of this formula in the dataset = 0 meV per atom
VASP energy = -1.841 eV/atom
formation enthalpy at 0 K = -69 meV per atom

Unit cell a=10.499 b=6.544 c=6.544 alpha=58.01 beta=90.00 gamma=90.00
Fractional positions:
1 Ca 0.000 0.000 0.000
2 Mg 0.000 0.004 0.496
3 Mg 0.000 0.496 0.004
4 Mg 0.249 0.666 0.666
5 Mg 0.259 0.167 0.167
6 Mg 0.261 0.163 0.661
7 Mg 0.261 0.661 0.163
8 Mg 0.500 0.500 0.500
9 Mg 0.500 0.501 0.996
10 Mg 0.500 0.996 0.501
11 Mg 0.500 0.999 0.999
12 Mg 0.739 0.163 0.661
13 Mg 0.739 0.661 0.163
14 Mg 0.741 0.167 0.167
15 Mg 0.751 0.666 0.666
16 Sb 0.000 0.492 0.492